# AlFe3, optimized geometry, DFT meta-GGA r2SCAN
# - DFT total energy (hartree per atom) = -0.466
data_AlFe3
_chemical_formula_sum 'Al1 Fe3'
_space_group_name_H-M_alt 'P m -3 m'
_space_group_IT_number 221
_space_group_name_Hall '-P 4 2 3'
_cell_length_a 3.639
_cell_length_b 3.639
_cell_length_c 3.639
_cell_angle_alpha 90.00
_cell_angle_beta 90.00
_cell_angle_gamma 90.00
loop_
_atom_site_label
_atom_site_type_symbol
_atom_site_fract_x
_atom_site_fract_y
_atom_site_fract_z
Al1 Al 0.000 0.000 0.000
Fe1 Fe 0.000 0.500 0.500

=====

# AlFe3, optimized geometry, DFT meta-GGA r2SCAN
# - DFT total energy (hartree per atom) = -0.464
data_AlFe3
_chemical_formula_sum 'Al4 Fe12'
_space_group_name_H-M_alt 'F m -3 m'
_space_group_IT_number 225
_space_group_name_Hall '-F 4 2 3'
_cell_length_a 5.774
_cell_length_b 5.774
_cell_length_c 5.774
_cell_angle_alpha 90.00
_cell_angle_beta 90.00
_cell_angle_gamma 90.00
loop_
_atom_site_label
_atom_site_type_symbol
_atom_site_fract_x
_atom_site_fract_y
_atom_site_fract_z
Al1 Al 0.000 0.000 0.000
Fe1 Fe 0.000 0.000 0.500
Fe2 Fe 0.250 0.250 0.250

=====

# Al13Fe4, optimized geometry, DFT meta-GGA r2SCAN
# - DFT total energy (hartree per atom) = -0.322
data_Al13Fe4
_chemical_formula_sum 'Al78 Fe24'
_space_group_name_H-M_alt 'C 1 2/m 1'
_space_group_IT_number 12
_space_group_name_Hall '-C 2y'
_cell_length_a 15.302
_cell_length_b 7.987
_cell_length_c 12.301
_cell_angle_alpha 90.00
_cell_angle_beta 107.75
_cell_angle_gamma 90.00
loop_
_atom_site_label
_atom_site_type_symbol
_atom_site_fract_x
_atom_site_fract_y
_atom_site_fract_z
Al1 Al 0.000 0.000 0.000
Al2 Al 0.000 0.251 0.500
Al3 Al 0.007 0.234 0.169
Al4 Al 0.021 0.000 0.671
Al5 Al 0.066 0.500 0.673
Al6 Al 0.074 0.500 0.080
Al7 Al 0.085 0.500 0.287
Al8 Al 0.132 0.213 0.391
Al9 Al 0.138 0.219 0.022
Al10 Al 0.175 0.000 0.218
Al11 Al 0.178 0.280 0.835
Al12 Al 0.185 0.283 0.611
Al13 Al 0.194 0.000 0.728
Al14 Al 0.237 0.500 0.037
Al15 Al 0.240 0.500 0.456
Fe1 Fe 0.085 0.500 0.882
Fe2 Fe 0.091 0.500 0.488
Fe3 Fe 0.097 0.000 0.514
Fe4 Fe 0.098 0.000 0.876
Fe5 Fe 0.181 0.294 0.223

=====

# AlFe, optimized geometry, DFT meta-GGA r2SCAN
# - DFT total energy (hartree per atom) = -0.393
data_AlFe
_chemical_formula_sum 'Al1 Fe1'
_space_group_name_H-M_alt 'P m -3 m'
_space_group_IT_number 221
_space_group_name_Hall '-P 4 2 3'
_cell_length_a 2.846
_cell_length_b 2.846
_cell_length_c 2.846
_cell_angle_alpha 90.00
_cell_angle_beta 90.00
_cell_angle_gamma 90.00
loop_
_atom_site_label
_atom_site_type_symbol
_atom_site_fract_x
_atom_site_fract_y
_atom_site_fract_z
Al1 Al 0.000 0.000 0.000
Fe1 Fe 0.500 0.500 0.500

=====

# AlFe3H, optimized geometry, DFT meta-GGA r2SCAN
# - DFT total energy (hartree per atom) = -0.397
data_AlFe3H
_chemical_formula_sum 'Al1 Fe3 H1'
_space_group_name_H-M_alt 'P m -3 m'
_space_group_IT_number 221
_space_group_name_Hall '-P 4 2 3'
_cell_length_a 3.700
_cell_length_b 3.700
_cell_length_c 3.700
_cell_angle_alpha 90.00
_cell_angle_beta 90.00
_cell_angle_gamma 90.00
loop_
_atom_site_label
_atom_site_type_symbol
_atom_site_fract_x
_atom_site_fract_y
_atom_site_fract_z
Al1 Al 0.000 0.000 0.000
Fe1 Fe 0.000 0.500 0.500
H1 H 0.500 0.500 0.500

=====

# HfAlFe, optimized geometry, DFT meta-GGA r2SCAN
# - DFT total energy (hartree per atom) = -0.827
data_HfAlFe
_chemical_formula_sum 'Hf8 Al8 Fe8'
_space_group_name_H-M_alt 'A m m 2'
_space_group_IT_number 38
_space_group_name_Hall 'A 2 -2'
_cell_length_a 8.340
_cell_length_b 5.105
_cell_length_c 8.772
_cell_angle_alpha 90.00
_cell_angle_beta 90.00
_cell_angle_gamma 90.00
loop_
_atom_site_label
_atom_site_type_symbol
_atom_site_fract_x
_atom_site_fract_y
_atom_site_fract_z
Hf1 Hf 0.179 0.000 0.000
Hf2 Hf 0.304 0.000 0.666
Al1 Al 0.240 0.000 0.325
Al2 Al 0.500 0.244 0.919
Fe1 Fe 0.000 0.000 0.501
Fe2 Fe 0.000 0.239 0.742
Fe3 Fe 0.500 0.000 0.165

=====

# Hf6Al2Fe, optimized geometry, DFT meta-GGA r2SCAN
# - DFT total energy (hartree per atom) = -1.230
data_Hf6Al2Fe
_chemical_formula_sum 'Hf6 Al2 Fe1'
_space_group_name_H-M_alt 'P -6 2 m'
_space_group_IT_number 189
_space_group_name_Hall 'P -6 -2'
_cell_length_a 7.8285
_cell_length_b 7.8285
_cell_length_c 3.2673
_cell_angle_alpha 90.00
_cell_angle_beta 90.00
_cell_angle_gamma 120.00
loop_
_atom_site_label
_atom_site_type_symbol
_atom_site_fract_x
_atom_site_fract_y
_atom_site_fract_z
Hf1 Hf 0.0000 0.3935 0.0000
Hf2 Hf 0.0000 0.7500 0.5000
Al1 Al 0.3333 0.6667 0.5000
Fe1 Fe 0.0000 0.0000 0.0000

=====

# HfAl6Fe6, optimized geometry, DFT meta-GGA r2SCAN
# - DFT total energy (hartree per atom) = -0.499
data_HfAl6Fe6
_chemical_formula_sum 'Hf2 Al12 Fe12'
_space_group_name_H-M_alt 'I m m m'
_space_group_IT_number 71
_space_group_name_Hall '-I 2 2'
_cell_length_a 4.908
_cell_length_b 8.462
_cell_length_c 8.487
_cell_angle_alpha 90.00
_cell_angle_beta 90.00
_cell_angle_gamma 90.00
loop_
_atom_site_label
_atom_site_type_symbol
_atom_site_fract_x
_atom_site_fract_y
_atom_site_fract_z
Hf1 Hf 0.000 0.000 0.000
Al1 Al 0.000 0.000 0.344
Al2 Al 0.000 0.336 0.000
Al3 Al 0.000 0.500 0.315
Fe1 Fe 0.000 0.261 0.500
Fe2 Fe 0.250 0.250 0.250

=====

no.,formation enthalpy at 0 K (kJ/mol of formula units)
1,-69
2,-55
3,-378
4,-24
5,-59
6,-114
7,-228
8,-418